The following is a GGA+U calculation of a geometry-optimized FeOF structure, from the Materials Project.

Lattice parameters (Å, degrees): 9.519 3.099 14.242 90.00 90.36 90.00
Fractional positions:
Fe (0.000, 0.000, 0.000)
Fe (0.002, 0.000, 0.654)
Fe (0.009, 0.000, 0.325)
Fe (0.223, 0.500, 0.155)
Fe (0.246, 0.500, 0.805)
Fe (0.252, 0.500, 0.470)
Fe (0.496, 0.000, 0.328)
Fe (0.500, 0.000, 0.664)
Fe (0.516, 0.000, 0.988)
Fe (0.727, 0.500, 0.821)
Fe (0.750, 0.500, 0.140)
Fe (0.786, 0.500, 0.488)
O (0.098, 0.500, 0.257)
O (0.148, 0.000, 0.752)
O (0.157, 0.000, 0.086)
O (0.158, 0.000, 0.425)
O (0.405, 0.500, 0.719)
O (0.412, 0.500, 0.385)
O (0.596, 0.500, 0.923)
O (0.648, 0.000, 0.093)
O (0.660, 0.000, 0.752)
O (0.860, 0.000, 0.559)
O (0.904, 0.500, 0.050)
O (0.905, 0.500, 0.385)
F (0.100, 0.500, 0.919)
F (0.106, 0.500, 0.590)
F (0.342, 0.000, 0.886)
F (0.353, 0.000, 0.552)
F (0.356, 0.000, 0.218)
F (0.402, 0.500, 0.052)
F (0.599, 0.500, 0.585)
F (0.603, 0.500, 0.259)
F (0.660, 0.000, 0.424)
F (0.844, 0.000, 0.218)
F (0.853, 0.000, 0.883)
F (0.907, 0.500, 0.722)

## Properties
Its space group is Pm, No. 6. As for the total magnetic moment: 60.00 μB per cell.


The following is a GGA+U calculation of a geometry-optimized K2W2O5 structure, from the Materials Project.

Lattice parameters (Å, degrees): 5.823 5.832 8.983 108.86 108.67 90.38
Fractional positions:
K (0.000, 0.000, 0.000)
K (0.229, 0.247, 0.488)
K (0.485, 0.503, 0.999)
K (0.741, 0.742, 0.487)
W (0.108, 0.623, 0.243)
W (0.387, 0.883, 0.744)
W (0.609, 0.123, 0.245)
W (0.879, 0.365, 0.743)
O (0.083, 0.114, 0.739)
O (0.086, 0.621, 0.744)
O (0.265, 0.755, 0.504)
O (0.339, 0.383, 0.233)
O (0.356, 0.869, 0.234)
O (0.509, 0.988, 0.982)
O (0.706, 0.256, 0.504)
O (0.862, 0.376, 0.252)
O (0.879, 0.863, 0.254)
O (0.948, 0.492, 0.982)

## Properties
Its space group is P1, No. 1. As for the total magnetic moment: 6.00 μB per cell. The value obtained for the energy above the most stable polymorph in this dataset is 0.000 eV per formula unit.


The following is a GGA+U calculation of a geometry-optimized MgMn6O8F4 structure, from the Materials Project.

Lattice parameters (Å, degrees): 5.086 5.607 7.707 87.85 84.26 83.24
Fractional positions:
Mg (0.000, 0.000, 0.000)
Mn (0.438, 0.561, 0.507)
Mn (0.481, 0.869, 0.195)
Mn (0.499, 0.207, 0.867)
Mn (0.809, 0.602, 0.790)
Mn (0.972, 0.073, 0.524)
Mn (0.988, 0.404, 0.204)
O (0.134, 0.349, 0.420)
O (0.271, 0.858, 0.418)
O (0.287, 0.165, 0.091)
O (0.647, 0.569, 0.288)
O (0.678, 0.859, 0.957)
O (0.683, 0.327, 0.644)
O (0.763, 0.824, 0.610)
O (0.794, 0.345, 0.966)
F (0.170, 0.687, 0.079)
F (0.204, 0.064, 0.768)
F (0.232, 0.558, 0.742)
F (0.814, 0.058, 0.258)

## Properties
Its space group is P1, No. 1. As for the total magnetic moment: 24.00 μB per cell. The value obtained for the energy above the most stable polymorph in this dataset is 0.563 eV per formula unit.


The following is a GGA+U calculation of a geometry-optimized MgMn6O6F6 structure, from the Materials Project.

Lattice parameters (Å, degrees): 4.910 5.043 9.329 86.24 88.93 88.29
Fractional positions:
Mg (0.000, 0.000, 0.000)
Mn (0.033, 0.454, 0.338)
Mn (0.471, 0.928, 0.183)
Mn (0.529, 0.025, 0.497)
Mn (0.536, 0.014, 0.821)
Mn (0.952, 0.509, 0.003)
Mn (0.953, 0.506, 0.661)
O (0.134, 0.690, 0.152)
O (0.337, 0.190, 0.331)
O (0.666, 0.797, 0.991)
O (0.678, 0.821, 0.665)
O (0.837, 0.293, 0.857)
O (0.838, 0.281, 0.497)
F (0.161, 0.771, 0.848)
F (0.214, 0.717, 0.501)
F (0.315, 0.217, 0.998)
F (0.331, 0.240, 0.676)
F (0.713, 0.738, 0.341)
F (0.839, 0.215, 0.157)

## Properties
Its space group is P1, No. 1. As for the total magnetic moment: 26.00 μB per cell. The value obtained for the energy above the most stable polymorph in this dataset is 1.485 eV per formula unit.


The following is a GGA+U calculation of a geometry-optimized VPO4 structure, from the Materials Project.

Lattice parameters (Å, degrees): 10.041 5.930 4.945 90.00 90.00 90.00
Fractional positions:
V (0.232, 0.250, 0.015)
V (0.268, 0.750, 0.515)
V (0.732, 0.250, 0.485)
V (0.768, 0.750, 0.985)
P (0.097, 0.750, 0.081)
P (0.403, 0.250, 0.581)
P (0.597, 0.750, 0.419)
P (0.903, 0.250, 0.919)
O (0.052, 0.250, 0.855)
O (0.122, 0.750, 0.779)
O (0.171, 0.548, 0.228)
O (0.171, 0.952, 0.228)
O (0.329, 0.048, 0.728)
O (0.329, 0.452, 0.728)
O (0.378, 0.250, 0.279)
O (0.448, 0.750, 0.355)
O (0.552, 0.250, 0.645)
O (0.622, 0.750, 0.721)
O (0.671, 0.548, 0.272)
O (0.671, 0.952, 0.272)
O (0.829, 0.048, 0.772)
O (0.829, 0.452, 0.772)
O (0.878, 0.250, 0.221)
O (0.948, 0.750, 0.145)

## Properties
Its space group is Pnma, No. 62. As for the total magnetic moment: 8.00 μB per cell.


The following is a GGA+U calculation of a geometry-optimized Cs2Na8U8Mo5O44 structure, from the Materials Project.

Lattice parameters (Å, degrees): 13.885 13.885 13.885 151.01 125.34 63.06
Fractional positions:
Cs (0.000, 0.000, 0.000)
Cs (0.500, 0.000, 0.500)
Na (0.133, 0.633, 0.500)
Na (0.203, 0.203, 0.000)
Na (0.297, 0.797, 0.500)
Na (0.361, 0.361, 0.000)
Na (0.639, 0.639, 0.000)
Na (0.703, 0.203, 0.500)
Na (0.797, 0.797, 0.000)
Na (0.867, 0.367, 0.500)
U (0.036, 0.123, 0.589)
U (0.129, 0.685, 0.061)
U (0.376, 0.315, 0.443)
U (0.466, 0.877, 0.913)
U (0.534, 0.447, 0.411)
U (0.624, 0.067, 0.939)
U (0.871, 0.933, 0.557)
U (0.964, 0.553, 0.087)
Mo (0.181, 0.286, 0.566)
Mo (0.280, 0.714, 0.895)
Mo (0.500, 0.500, 0.000)
Mo (0.720, 0.615, 0.434)
Mo (0.819, 0.385, 0.105)
O (0.018, 0.929, 0.700)
O (0.041, 0.296, 0.443)
O (0.043, 0.457, 0.913)
O (0.065, 0.855, 0.291)
O (0.111, 0.557, 0.239)
O (0.139, 0.324, 0.706)
O (0.147, 0.704, 0.745)
O (0.183, 0.125, 0.741)
O (0.191, 0.020, 0.339)
O (0.221, 0.618, 0.900)
O (0.229, 0.319, 0.300)
O (0.275, 0.681, 0.204)
O (0.282, 0.382, 0.602)
O (0.317, 0.872, 0.761)
O (0.319, 0.980, 0.171)
O (0.372, 0.314, 0.779)
O (0.382, 0.676, 0.815)
O (0.384, 0.442, 0.259)
O (0.436, 0.145, 0.210)
O (0.456, 0.543, 0.586)
O (0.465, 0.686, 0.058)
O (0.477, 0.070, 0.796)
O (0.523, 0.319, 0.593)
O (0.535, 0.594, 0.221)
O (0.544, 0.130, 0.087)
O (0.564, 0.774, 0.709)
O (0.616, 0.875, 0.058)
O (0.618, 0.433, 0.294)
O (0.628, 0.406, 0.942)
O (0.681, 0.852, 0.661)
O (0.683, 0.443, 0.554)
O (0.718, 0.321, 0.100)
O (0.725, 0.930, 0.407)
O (0.771, 0.071, 0.089)
O (0.779, 0.679, 0.398)
O (0.809, 0.148, 0.829)
O (0.817, 0.558, 0.942)
O (0.853, 0.598, 0.557)
O (0.861, 0.567, 0.185)
O (0.889, 0.128, 0.446)
O (0.935, 0.226, 0.790)
O (0.957, 0.870, 0.414)
O (0.959, 0.402, 0.255)
O (0.982, 0.681, 0.911)

## Properties
Its space group is I222, No. 23. As for the total magnetic moment: 0.00 μB per cell.


The following is a GGA+U calculation of a geometry-optimized ZnW4O9 structure, from the Materials Project.

Lattice parameters (Å, degrees): 9.789 9.789 3.879 90.00 90.00 90.00
Fractional positions:
Zn (0.250, 0.250, 0.019)
Zn (0.750, 0.750, 0.981)
W (0.033, 0.665, 0.498)
W (0.165, 0.967, 0.502)
W (0.335, 0.533, 0.502)
W (0.467, 0.835, 0.498)
W (0.533, 0.165, 0.502)
W (0.665, 0.467, 0.498)
W (0.835, 0.033, 0.498)
W (0.967, 0.335, 0.502)
O (0.025, 0.132, 0.502)
O (0.036, 0.667, 0.000)
O (0.132, 0.475, 0.502)
O (0.167, 0.964, 0.000)
O (0.250, 0.750, 0.500)
O (0.333, 0.536, 0.000)
O (0.368, 0.025, 0.502)
O (0.464, 0.833, 0.000)
O (0.475, 0.368, 0.502)
O (0.525, 0.632, 0.498)
O (0.536, 0.167, 0.000)
O (0.632, 0.975, 0.498)
O (0.667, 0.464, 0.000)
O (0.750, 0.250, 0.500)
O (0.833, 0.036, 0.000)
O (0.868, 0.525, 0.498)
O (0.964, 0.333, 0.000)
O (0.975, 0.868, 0.498)

## Properties
Its space group is P4/n, No. 85. As for the total magnetic moment: 12.01 μB per cell. The value obtained for the energy above the most stable polymorph in this dataset is 0.031 eV per formula unit.


The following is a GGA+U calculation of a geometry-optimized SrMoO3 structure, from the Materials Project.

Lattice parameters (Å, degrees): 5.774 5.774 5.774 121.27 88.97 119.92
Fractional positions:
Sr (0.255, 0.005, 0.250)
Sr (0.745, 0.995, 0.750)
Mo (0.000, 0.500, 0.500)
Mo (0.500, 0.500, 0.000)
O (0.177, 0.427, 0.750)
O (0.293, 0.000, 0.793)
O (0.293, 0.500, 0.293)
O (0.707, 0.000, 0.207)
O (0.707, 0.500, 0.707)
O (0.823, 0.573, 0.250)

## Properties
Its space group is Imma, No. 74.


The following is a GGA+U calculation of a geometry-optimized Li9Mn2Co5O16 structure, from the Materials Project.

Lattice parameters (Å, degrees): 10.684 10.684 9.871 107.64 107.64 15.68
Fractional positions:
Li (0.000, 0.000, 0.000)
Li (0.128, 0.128, 0.624)
Li (0.256, 0.256, 0.240)
Li (0.368, 0.368, 0.879)
Li (0.500, 0.500, 0.495)
Li (0.632, 0.632, 0.128)
Li (0.752, 0.752, 0.749)
Li (0.814, 0.814, 0.066)
Li (0.874, 0.874, 0.365)
Mn (0.434, 0.434, 0.184)
Mn (0.564, 0.564, 0.814)
Co (0.064, 0.064, 0.310)
Co (0.200, 0.200, 0.939)
Co (0.315, 0.315, 0.558)
Co (0.689, 0.689, 0.434)
Co (0.936, 0.936, 0.687)
O (0.035, 0.035, 0.674)
O (0.091, 0.091, 0.950)
O (0.156, 0.156, 0.288)
O (0.219, 0.219, 0.578)
O (0.277, 0.277, 0.898)
O (0.354, 0.354, 0.216)
O (0.411, 0.411, 0.542)
O (0.475, 0.475, 0.833)
O (0.530, 0.530, 0.167)
O (0.593, 0.593, 0.456)
O (0.651, 0.651, 0.791)
O (0.717, 0.717, 0.079)
O (0.783, 0.783, 0.411)
O (0.848, 0.848, 0.713)
O (0.912, 0.912, 0.048)
O (0.968, 0.968, 0.325)

## Properties
Its space group is Cm, No. 8. As for the total magnetic moment: 6.02 μB per cell. The value obtained for the energy above the most stable polymorph in this dataset is 1.799 eV per formula unit.


The following is a GGA+U calculation of a geometry-optimized Li3V4O7F5 structure, from the Materials Project.

Lattice parameters (Å, degrees): 5.131 5.354 8.891 73.35 88.78 63.06
Fractional positions:
Li (0.000, 0.000, 0.000)
Li (0.229, 0.520, 0.757)
Li (0.471, 0.043, 0.502)
V (0.140, 0.717, 0.392)
V (0.442, 0.143, 0.152)
V (0.697, 0.622, 0.895)
V (0.865, 0.174, 0.655)
O (0.362, 0.886, 0.343)
O (0.498, 0.377, 0.589)
O (0.520, 0.389, 0.973)
O (0.869, 0.869, 0.838)
O (0.884, 0.883, 0.226)
O (0.939, 0.360, 0.786)
O (0.943, 0.876, 0.530)
F (0.001, 0.380, 0.085)
F (0.032, 0.366, 0.481)
F (0.376, 0.865, 0.711)
F (0.416, 0.378, 0.296)
F (0.424, 0.891, 0.026)

## Properties
Its space group is P1, No. 1. As for the total magnetic moment: 4.00 μB per cell. The value obtained for the energy above the most stable polymorph in this dataset is 0.000 eV per formula unit.


The following is a GGA+U calculation of a geometry-optimized TiFe2O4 structure, from the Materials Project.

Lattice parameters (Å, degrees): 6.031 6.045 6.132 118.81 118.67 91.20
Fractional positions:
Ti (0.000, 0.000, 0.000)
Ti (0.005, 0.499, 0.000)
Fe (0.002, 0.999, 0.498)
Fe (0.368, 0.614, 0.729)
Fe (0.503, 0.998, 0.499)
Fe (0.639, 0.386, 0.273)
O (0.221, 0.727, 0.438)
O (0.221, 0.752, 0.995)
O (0.223, 0.252, 0.997)
O (0.227, 0.208, 0.441)
O (0.779, 0.790, 0.559)
O (0.780, 0.272, 0.561)
O (0.780, 0.745, 0.000)
O (0.781, 0.245, 0.001)

## Properties
Its space group is P1, No. 1. As for the total magnetic moment: 0.00 μB per cell. The value obtained for the energy above the most stable polymorph in this dataset is 0.103 eV per formula unit.


The following is a GGA+U calculation of a geometry-optimized Li4Ti5Mn3O16 structure, from the Materials Project.

Lattice parameters (Å, degrees): 6.063 6.063 9.658 91.75 91.75 58.17
Fractional positions:
Li (0.000, 0.000, 0.000)
Li (0.009, 0.009, 0.502)
Li (0.352, 0.352, 0.594)
Li (0.672, 0.672, 0.093)
Ti (0.164, 0.657, 0.272)
Ti (0.343, 0.343, 0.994)
Ti (0.657, 0.164, 0.272)
Ti (0.667, 0.667, 0.496)
Ti (0.834, 0.834, 0.761)
Mn (0.174, 0.174, 0.286)
Mn (0.348, 0.841, 0.784)
Mn (0.841, 0.348, 0.784)
O (0.008, 0.008, 0.693)
O (0.043, 0.506, 0.150)
O (0.168, 0.168, 0.905)
O (0.168, 0.657, 0.903)
O (0.347, 0.825, 0.407)
O (0.356, 0.356, 0.389)
O (0.485, 0.485, 0.157)
O (0.506, 0.043, 0.150)
O (0.538, 0.538, 0.654)
O (0.543, 0.982, 0.648)
O (0.657, 0.168, 0.903)
O (0.679, 0.679, 0.882)
O (0.825, 0.347, 0.407)
O (0.841, 0.841, 0.392)
O (0.982, 0.543, 0.648)
O (0.997, 0.997, 0.189)

## Properties
Its space group is Cm, No. 8. As for the total magnetic moment: 13.00 μB per cell.


Energy with MP2020 corrections values, unit eV per atom, following the record order: -7.146, -7.675, -7.748, -7.527, -8.389, -8.457, -8.638, -8.064, -6.502, -7.236, -8.728, -8.371.
Formation enthalpy at 0 K values, unit eV/atom, following the record order: -2.0348, -1.7999, -2.2837, -2.3828, -2.6744, -2.8653, -1.6645, -2.5884, -1.8079, -2.6957, -2.3526, -2.8797.